The following is a DFT calculation (PBE) of a relaxed structure of Mg4Si7.

## Properties
**Calculated formation energy**: 1.608 eV/f.u.
**Energy above the most stable polymorph in this dataset**: 0.000 eV per formula unit

Lattice parameters (Å, degrees): 4.303 6.745 14.066 77.71 89.88 89.22
Space group P1 (No. 1)
Asymmetric unit:
Mg 0.000 0.000 0.000 (multiplicity 1)
Mg 0.001 0.534 0.871 (multiplicity 1)
Mg 0.002 0.469 0.097 (multiplicity 1)
Mg 0.492 0.361 0.287 (multiplicity 1)
Mg 0.495 0.386 0.523 (multiplicity 1)
Mg 0.501 0.833 0.360 (multiplicity 1)
Mg 0.505 0.899 0.589 (multiplicity 1)
Mg 0.998 0.116 0.432 (multiplicity 1)
Si 0.000 0.147 0.622 (multiplicity 1)
Si 0.005 0.741 0.229 (multiplicity 1)
Si 0.009 0.719 0.502 (multiplicity 1)
Si 0.495 0.162 0.852 (multiplicity 1)
Si 0.498 0.108 0.144 (multiplicity 1)
Si 0.498 0.487 0.736 (multiplicity 1)
Si 0.498 0.799 0.796 (multiplicity 1)
Si 0.500 0.701 0.976 (multiplicity 1)
Si 0.504 0.743 0.145 (multiplicity 1)
Si 0.505 0.327 0.988 (multiplicity 1)
Si 0.987 0.517 0.384 (multiplicity 1)
Si 0.994 0.993 0.791 (multiplicity 1)
Si 0.996 0.096 0.236 (multiplicity 1)
Si 0.998 0.479 0.653 (multiplicity 1)

=====

The following is a DFT calculation (PBE) of a relaxed structure of Mg7Si.

## Properties
**Calculated formation energy**: 0.429 eV/f.u.

Lattice parameters (Å, degrees): 6.2631 6.2631 4.9993 90.00 90.00 120.00
Space group P-6m2 (No. 187)
Asymmetric unit:
Mg 0.0000 0.0000 0.0000 (multiplicity 1)
Mg 0.0051 0.5026 0.0000 (multiplicity 3)
Mg 0.3327 0.1664 0.5000 (multiplicity 3)
Si 0.3333 0.6667 0.5000 (multiplicity 1)

=====

| no. | electronic total energy (eV per atom) |
| --- | --- |
| 1 | -3.9334 |
| 2 | -2.0336 |